Entry 1:
Entry from the Materials Project database: crystalline CeCrS3 at its relaxed geometry (PBE).

Cell lengths 7.7823, 3.7723, 12.9158 Å; angles 90.00, 90.00, 90.00 degrees
Space group Pnma (No. 62)
One atom of each set of equivalent atoms:
1 Ce 0.0870 0.2500 0.1728 x4
2 Cr 0.1630 0.7500 0.4475 x4
3 S 0.0128 0.7500 0.6072 x4
4 S 0.1604 0.7500 0.0066 x4
5 S 0.1923 0.2500 0.7855 x4

**Crystal system**: orthorhombic
**Energy relative to the elements**: -8.36 eV/f.u.
**Energy with MP2020 corrections**: -36.36 eV per formula unit

Entry 2:
Entry from the Materials Project database: crystalline LaB5IO11 at its relaxed geometry (PBE).

Cell lengths 6.5617, 15.8906, 11.8433 Å; angles 90.00, 121.59, 90.00 degrees
Space group P2_1/c (No. 14)
One atom of each set of equivalent atoms:
1 La 0.0484 0.1651 0.1996 x4
2 B 0.0640 0.0469 0.8670 x4
3 B 0.0949 0.6790 0.6001 x4
4 B 0.3337 0.1571 0.0026 x4
5 B 0.3825 0.7209 0.2734 x4
6 B 0.4900 0.7137 0.6269 x4
7 I 0.1898 0.5435 0.9526 x4
8 O 0.0115 0.5305 0.3045 x4
9 O 0.1277 0.6016 0.6718 x4
10 O 0.1385 0.1864 0.0199 x4
11 O 0.1495 0.0632 0.4997 x4
12 O 0.1499 0.7478 0.1947 x4
13 O 0.2614 0.6846 0.5479 x4
14 O 0.2943 0.0714 0.9561 x4
15 O 0.3324 0.2143 0.8988 x4
16 O 0.4290 0.6682 0.3740 x4
17 O 0.4341 0.5917 0.1042 x4
18 O 0.4434 0.2473 0.2521 x4

**Crystal system**: monoclinic
**Energy relative to the elements**: -46.98 eV/f.u.
**Energy with MP2020 corrections**: -141.26 eV per formula unit

Entry 3:
Entry from the Materials Project database: crystalline K2FeP2Se6 at its relaxed geometry (PBE).

Cell lengths 6.4331, 13.0396, 8.9025 Å; angles 90.00, 122.16, 90.00 degrees
Space group P2_1/c (No. 14)
One atom of each set of equivalent atoms:
1 K 0.1806 0.1933 0.4558 x4
2 Fe 0.5000 0.0000 0.0000 x2
3 P 0.1484 0.5330 0.6318 x4
4 Se 0.0631 0.0565 0.7399 x4
5 Se 0.2926 0.6670 0.5652 x4
6 Se 0.4427 0.0831 0.2469 x4

**Crystal system**: monoclinic
**Energy relative to the elements**: -8.20 eV/f.u.
**Energy with MP2020 corrections**: -50.69 eV per formula unit

Entry 4:
Entry from the Materials Project database: crystalline KSe at its relaxed geometry (PBE).

Cell lengths 6.0746, 9.4488, 18.0644 Å; angles 90.00, 90.00, 90.00 degrees
Space group Pbca (No. 61)
One atom of each set of equivalent atoms:
1 K 0.1864 0.1852 0.1277 x8
2 K 0.1861 0.1859 0.8741 x8
3 Se 0.0012 0.5028 0.7654 x8
4 Se 0.1760 0.5617 0.5001 x8

**Crystal system**: orthorhombic
**Energy relative to the elements**: -2.04 eV/f.u.
**Energy with MP2020 corrections**: -6.64 eV per formula unit

Entry 5:
Entry from the Materials Project database: crystalline Mo2C3N6 at its relaxed geometry (PBE).

Cell lengths 13.3875, 3.1477, 5.1568 Å; angles 90.00, 97.61, 90.00 degrees
Space group C2/m (No. 12)
One atom of each set of equivalent atoms:
1 Mo 0.1306 0.0000 0.0601 x4
2 C 0.0000 0.0000 0.5000 x2
3 C 0.1724 0.5000 0.5844 x4
4 N 0.0104 0.0000 0.7429 x4
5 N 0.1571 0.5000 0.3469 x4
6 N 0.1944 0.5000 0.8306 x4

**Crystal system**: monoclinic
**Energy relative to the elements**: 1.57 eV/f.u.
**Energy with MP2020 corrections**: -97.82 eV per formula unit
**Relative energy among the computed polymorphs**: 5.19 kcal/mol of atoms

Entry 6:
Entry from the Materials Project database: crystalline Dy4Al24Pt9 at its relaxed geometry (PBE).

Cell lengths 7.4977, 7.5068, 13.1948 Å; angles 84.67, 79.21, 60.23 degrees
Space group P-1 (No. 2)
One atom of each set of equivalent atoms:
1 Dy 0.0621 0.3316 0.3078 x2
2 Dy 0.2675 0.9984 0.6925 x2
3 Al 0.0180 0.6667 0.4444 x2
4 Al 0.1172 0.6653 0.1701 x2
5 Al 0.1467 0.3331 0.0588 x2
6 Al 0.1856 0.0014 0.9410 x2
7 Al 0.1938 0.8681 0.3158 x2
8 Al 0.2300 0.6599 0.8306 x2
9 Al 0.3178 0.6683 0.5468 x2
10 Al 0.3522 0.0014 0.4448 x2
11 Al 0.3958 0.4582 0.3161 x2
12 Al 0.3981 0.3359 0.6829 x2
13 Al 0.4441 0.9941 0.1700 x2
14 Al 0.4795 0.6679 0.0609 x2
15 Pt 0.0000 0.0000 0.5000 x1
16 Pt 0.1129 0.0074 0.1388 x2
17 Pt 0.2053 0.3333 0.8612 x2
18 Pt 0.3286 0.3289 0.4999 x2
19 Pt 0.4541 0.3255 0.1370 x2

**Crystal system**: triclinic
**Energy relative to the elements**: -33.68 eV/f.u.

The highest energy relative to the elements belongs to which entry? Mo2C3N6

Which of these has the lowest energy relative to the elements? LaB5IO11

Which value of energy relative to the elements does entry 6 give? -33.68 eV/f.u.